# NiP4H16N2O16 | the Materials Project database | PBE+U | relaxed
data_NiP4H16N2O16
_space_group_name_H-M_alt 'P -1'
_space_group_IT_number 2
_cell_length_a 7.091
_cell_length_b 7.320
_cell_length_c 7.744
_cell_angle_alpha 81.68
_cell_angle_beta 71.28
_cell_angle_gamma 88.43
loop_
_space_group_symop_operation_xyz
'x,y,z'
'-x,-y,-z'
loop_
_atom_site_label
_atom_site_fract_x
_atom_site_fract_y
_atom_site_fract_z
Ni1 0.000 0.000 0.000
P1 0.155 0.240 0.262
P2 0.255 0.711 0.745
H1 0.112 0.190 0.658
H2 0.119 0.326 0.801
H3 0.241 0.476 0.039
H4 0.321 0.886 0.164
H5 0.375 0.660 0.194
H6 0.416 0.798 0.334
H7 0.425 0.222 0.422
H8 0.439 0.179 0.890
N1 0.418 0.792 0.200
O1 0.051 0.215 0.786
O2 0.081 0.733 0.648
O3 0.193 0.117 0.112
O4 0.228 0.168 0.422
O5 0.239 0.515 0.847
O6 0.247 0.863 0.859
O7 0.249 0.438 0.172
O8 0.441 0.737 0.564
# - magnetic moment (μB per cell) = 2.0
# - energy (eV per atom) = -5.85
# - crystal system = triclinic